Entry 1:
First-principles (PBE) data for a geometry-optimized Er6Te2Ru structure, as listed in the Materials Project database.

Unit cell a=8.272 b=8.272 c=3.998 alpha=90.00 beta=90.00 gamma=120.00
Atoms (fractional coordinates):
1 Te 0.333 0.667 0.000
2 Te 0.667 0.333 0.000
3 Er 0.761 0.761 0.000
4 Er 0.000 0.608 0.500
5 Er 0.608 0.000 0.500
6 Er 0.392 0.392 0.500
7 Er 0.239 0.000 0.000
8 Er 0.000 0.239 0.000
9 Ru 0.000 0.000 0.500

Entry 2:
First-principles (PBE) data for a geometry-optimized ErThRu2 structure, as listed in the Materials Project database.

Unit cell a=4.907 b=4.907 c=4.907 alpha=60.00 beta=60.00 gamma=60.00
Atoms (fractional coordinates):
1 Ru 0.750 0.750 0.750
2 Ru 0.250 0.250 0.250
3 Th 0.000 0.000 0.000
4 Er 0.500 0.500 0.500

Entry 3:
First-principles (PBE) data for a geometry-optimized ErTmRu2 structure, as listed in the Materials Project database.

Unit cell a=4.761 b=4.761 c=4.761 alpha=60.00 beta=60.00 gamma=60.00
Atoms (fractional coordinates):
1 Tm 0.000 0.000 0.000
2 Er 0.500 0.500 0.500
3 Ru 0.750 0.750 0.750
4 Ru 0.250 0.250 0.250

What DFT formation energy values result from the calculations? In sequence: -0.732 -0.463 -0.404 eV per atom.